DFT (PBE with a Hubbard U) results for an optimized crystal structure of PrMo5O8.

```
PrMo5O8
1.0
8.389 0.000 0.000
0.000 9.366 0.000
-3.609 0.000 10.121
Pr Mo O
4 20 32
Direct
0.206 0.017 0.466
0.206 0.483 0.966
0.794 0.517 0.034
0.794 0.983 0.534
0.097 0.136 0.810
0.097 0.364 0.310
0.109 0.646 0.483
0.109 0.854 0.983
0.296 0.642 0.274
0.296 0.858 0.774
0.303 0.126 0.136
0.303 0.374 0.636
0.490 0.141 0.919
0.490 0.359 0.419
0.510 0.641 0.581
0.510 0.859 0.081
0.697 0.626 0.364
0.697 0.874 0.864
0.704 0.142 0.226
0.704 0.358 0.726
0.891 0.146 0.017
0.891 0.354 0.517
0.903 0.636 0.690
0.903 0.864 0.190
0.083 0.501 0.636
0.083 0.999 0.136
0.095 0.503 0.148
0.095 0.997 0.648
0.103 0.248 0.989
0.103 0.252 0.489
0.125 0.718 0.829
0.125 0.782 0.329
0.292 0.214 0.314
0.292 0.286 0.814
0.312 0.718 0.095
0.312 0.782 0.595
0.484 0.007 0.764
0.484 0.493 0.264
0.489 0.249 0.089
0.489 0.251 0.589
0.511 0.749 0.411
0.511 0.751 0.911
0.516 0.507 0.736
0.516 0.993 0.236
0.688 0.218 0.405
0.688 0.282 0.905
0.708 0.714 0.186
0.708 0.786 0.686
0.875 0.218 0.671
0.875 0.282 0.171
0.897 0.748 0.511
0.897 0.752 0.011
0.905 0.003 0.352
0.905 0.497 0.852
0.917 0.001 0.864
0.917 0.499 0.364
```

Properties
As for the calculated formation energy: -1801 meV/atom. As for the space-group type: P2_1/c. The final energy comes out at -7.307 eV per atom. For the total magnetization, the calculation gives 60.0 μB per cell.